Below is Na3NbInSi2PO12 after structural relaxation, with properties calculated at the PBE-GGA level.

**E_form**: -2726.0 meV per atom

Unit cell a=15.8792 b=27.4380 c=9.0764 alpha=90.00 beta=125.25 gamma=90.00
With the nearest neighbours (Å) after each atom.
Sites, in units of the cell vectors:
Na 0.2530 0.2554 0.0069  6 O 2.37-2.64
Na 0.2454 0.5878 0.0157  5 O 2.34-2.57
Na 0.2475 0.9190 0.0167  6 O 2.37-2.64
Na 0.7530 0.2446 0.5069  6 O 2.37-2.64
Na 0.7475 0.5810 0.5167  6 O 2.37-2.64
Na 0.7454 0.9122 0.5157  5 O 2.34-2.57
Na 0.7454 0.0878 0.0157  5 O 2.34-2.57
Na 0.7475 0.4190 0.0167  6 O 2.37-2.64
Na 0.7530 0.7554 0.0069  6 O 2.37-2.64
Na 0.2475 0.0810 0.5167  6 O 2.37-2.64
Na 0.2454 0.4122 0.5157  5 O 2.34-2.57
Na 0.2530 0.7446 0.5069  6 O 2.37-2.64
Na 0.4940 0.0345 0.7524  4 O 2.37-2.45
Na 0.4965 0.3690 0.7584  5 O 2.39-2.67
Na 0.4936 0.7014 0.7498  4 O 2.43-2.51
Na 0.4936 0.2986 0.2498  4 O 2.43-2.51
Na 0.4965 0.6310 0.2584  5 O 2.39-2.67
Na 0.4940 0.9655 0.2524  4 O 2.37-2.45
Na 0.9936 0.2014 0.7498  4 O 2.43-2.51
Na 0.9940 0.5345 0.7524  4 O 2.37-2.45
Na 0.9965 0.8690 0.7584  5 O 2.39-2.67
Na 0.9965 0.1310 0.2584  5 O 2.39-2.67
Na 0.9940 0.4655 0.2524  4 O 2.37-2.45
Na 0.9936 0.7986 0.2498  4 O 2.43-2.51
Na 0.8184 0.6445 0.2054  5 O 2.45-2.73
Na 0.8178 0.9778 0.2105  4 O 2.35-2.61
Na 0.1936 0.3080 0.2840  3 O 2.34-2.51
Na 0.1936 0.6920 0.7840  3 O 2.34-2.51
Na 0.8178 0.0222 0.7105  4 O 2.35-2.61
Na 0.8184 0.3555 0.7054  5 O 2.45-2.73
Na 0.3184 0.1445 0.2054  5 O 2.45-2.73
Na 0.3178 0.4778 0.2105  4 O 2.35-2.61
Na 0.6936 0.8080 0.2840  3 O 2.34-2.51
Na 0.6936 0.1920 0.7840  3 O 2.34-2.51
Na 0.3178 0.5222 0.7105  4 O 2.35-2.61
Na 0.3184 0.8555 0.7054  5 O 2.45-2.73
Nb 0.1071 0.2475 0.5661  6 O 1.94-2.16
Nb 0.1051 0.5824 0.5660  6 O 1.96-2.15
Nb 0.1063 0.9168 0.5652  6 O 1.95-2.14
Nb 0.1063 0.0832 0.0652  6 O 1.95-2.14
Nb 0.1051 0.4176 0.0660  6 O 1.96-2.15
Nb 0.1071 0.7525 0.0661  6 O 1.94-2.16
Nb 0.6051 0.0824 0.5660  6 O 1.96-2.15
Nb 0.6063 0.4168 0.5652  6 O 1.95-2.14
Nb 0.6071 0.7475 0.5661  6 O 1.94-2.16
Nb 0.6071 0.2525 0.0661  6 O 1.94-2.16
Nb 0.6063 0.5832 0.0652  6 O 1.95-2.14
Nb 0.6051 0.9176 0.0660  6 O 1.96-2.15
In 0.9007 0.2511 0.9483  6 O 2.06-2.23
In 0.8961 0.5834 0.9369  6 O 2.05-2.22
In 0.8956 0.9149 0.9397  6 O 2.04-2.27
In 0.8956 0.0851 0.4397  6 O 2.04-2.27
In 0.8961 0.4166 0.4369  6 O 2.05-2.22
In 0.9007 0.7489 0.4483  6 O 2.06-2.23
In 0.3961 0.0834 0.9369  6 O 2.05-2.22
In 0.3956 0.4149 0.9397  6 O 2.04-2.27
In 0.4007 0.7511 0.9483  6 O 2.06-2.23
In 0.4007 0.2489 0.4483  6 O 2.06-2.23
In 0.3956 0.5851 0.4397  6 O 2.04-2.27
In 0.3961 0.9166 0.4369  6 O 2.05-2.22
Si 0.3486 0.2972 0.7475  4 O 1.61-1.68
Si 0.3515 0.6307 0.7576  4 O 1.59-1.69
Si 0.3505 0.9641 0.7531  4 O 1.58-1.72
Si 0.6470 0.3013 0.7420  4 O 1.61-1.69
Si 0.6466 0.6325 0.7400  4 O 1.59-1.72
Si 0.6469 0.9667 0.7416  4 O 1.60-1.72
Si 0.6469 0.0333 0.2416  4 O 1.60-1.72
Si 0.6466 0.3675 0.2400  4 O 1.59-1.72
Si 0.6470 0.6987 0.2420  4 O 1.61-1.69
Si 0.3505 0.0359 0.2531  4 O 1.58-1.72
Si 0.3515 0.3693 0.2576  4 O 1.59-1.69
Si 0.3486 0.7028 0.2475  4 O 1.61-1.68
Si 0.8515 0.1307 0.7576  4 O 1.59-1.69
Si 0.8505 0.4641 0.7531  4 O 1.58-1.72
Si 0.8486 0.7972 0.7475  4 O 1.61-1.68
Si 0.1466 0.1325 0.7400  4 O 1.59-1.72
Si 0.1469 0.4667 0.7416  4 O 1.60-1.72
Si 0.1470 0.8013 0.7420  4 O 1.61-1.69
Si 0.1470 0.1987 0.2420  4 O 1.61-1.69
Si 0.1469 0.5333 0.2416  4 O 1.60-1.72
Si 0.1466 0.8675 0.2400  4 O 1.59-1.72
Si 0.8486 0.2028 0.2475  4 O 1.61-1.68
Si 0.8505 0.5359 0.2531  4 O 1.58-1.72
Si 0.8515 0.8693 0.2576  4 O 1.59-1.69
P 0.0070 0.3189 0.7530  4 O 1.51-1.59
P 0.0022 0.6524 0.7463  4 O 1.52-1.59
P 0.0039 0.9863 0.7456  4 O 1.52-1.58
P 0.0039 0.0137 0.2456  4 O 1.52-1.58
P 0.0022 0.3476 0.2463  4 O 1.52-1.59
P 0.0070 0.6811 0.2530  4 O 1.51-1.59
P 0.5022 0.1524 0.7463  4 O 1.52-1.59
P 0.5039 0.4863 0.7456  4 O 1.52-1.58
P 0.5070 0.8189 0.7530  4 O 1.51-1.59
P 0.5070 0.1811 0.2530  4 O 1.51-1.59
P 0.5039 0.5137 0.2456  4 O 1.52-1.58
P 0.5022 0.8476 0.2463  4 O 1.52-1.59
O 0.1440 0.1941 0.7433  1 Si 1.69
O 0.1462 0.5284 0.7480  1 Si 1.69
O 0.1459 0.8619 0.7449  1 Si 1.66
O 0.8413 0.1897 0.7541  1 Si 1.63
O 0.8463 0.5226 0.7524  1 Si 1.61
O 0.8425 0.8564 0.7497  1 Si 1.63
O 0.8425 0.1436 0.2497  1 Si 1.63
O 0.8463 0.4774 0.2524  1 Si 1.61
O 0.8413 0.8103 0.2541  1 Si 1.63
O 0.1459 0.1381 0.2449  1 Si 1.66
O 0.1462 0.4716 0.2480  1 Si 1.69
O 0.1440 0.8059 0.2433  1 Si 1.69
O 0.6462 0.0284 0.7480  1 Si 1.69
O 0.6459 0.3619 0.7449  1 Si 1.66
O 0.6440 0.6941 0.7433  1 Si 1.69
O 0.3463 0.0226 0.7524  1 Si 1.61
O 0.3425 0.3564 0.7497  1 Si 1.63
O 0.3413 0.6897 0.7541  1 Si 1.63
O 0.3413 0.3103 0.2541  1 Si 1.63
O 0.3425 0.6436 0.2497  1 Si 1.63
O 0.3463 0.9774 0.2524  1 Si 1.61
O 0.6440 0.3059 0.2433  1 Si 1.69
O 0.6459 0.6381 0.2449  1 Si 1.66
O 0.6462 0.9716 0.2480  1 Si 1.69
O 0.4379 0.1783 0.5648  1 P 1.52
O 0.4365 0.5147 0.5707  1 P 1.52
O 0.4415 0.8502 0.5865  1 P 1.51
O 0.5613 0.1894 0.9059  1 P 1.56
O 0.5615 0.5226 0.9111  1 P 1.58
O 0.5694 0.8525 0.9276  1 P 1.59
O 0.5694 0.1475 0.4276  1 P 1.59
O 0.5615 0.4774 0.4111  1 P 1.58
O 0.5613 0.8106 0.4059  1 P 1.56
O 0.4415 0.1498 0.0865  1 P 1.51
O 0.4365 0.4853 0.0707  1 P 1.52
O 0.4379 0.8217 0.0648  1 P 1.52
O 0.9365 0.0147 0.5707  1 P 1.52
O 0.9415 0.3502 0.5865  1 P 1.51
O 0.9379 0.6783 0.5648  1 P 1.52
O 0.0615 0.0226 0.9111  1 P 1.58
O 0.0694 0.3525 0.9276  1 P 1.59
O 0.0613 0.6894 0.9059  1 P 1.56
O 0.0613 0.3106 0.4059  1 P 1.56
O 0.0694 0.6475 0.4276  1 P 1.59
O 0.0615 0.9774 0.4111  1 P 1.58
O 0.9379 0.3217 0.0648  1 P 1.52
O 0.9415 0.6498 0.0865  1 P 1.51
O 0.9365 0.9853 0.0707  1 P 1.52
O 0.2500 0.2722 0.7367  1 Si 1.66
O 0.2541 0.6053 0.7521  1 Si 1.67
O 0.2539 0.9371 0.7455  1 Si 1.67
O 0.7478 0.2827 0.7544  1 Si 1.62
O 0.7471 0.6146 0.7567  1 Si 1.59
O 0.7501 0.9525 0.7560  1 Si 1.61
O 0.7501 0.0475 0.2560  1 Si 1.61
O 0.7471 0.3854 0.2567  1 Si 1.59
O 0.7478 0.7173 0.2544  1 Si 1.62
O 0.2539 0.0629 0.2455  1 Si 1.67
O 0.2541 0.3947 0.2521  1 Si 1.67
O 0.2500 0.7278 0.2367  1 Si 1.66
O 0.7541 0.1053 0.7521  1 Si 1.67
O 0.7539 0.4371 0.7455  1 Si 1.67
O 0.7500 0.7722 0.7367  1 Si 1.66
O 0.2471 0.1146 0.7567  1 Si 1.59
O 0.2501 0.4525 0.7560  1 Si 1.61
O 0.2478 0.7827 0.7544  1 Si 1.62
O 0.2478 0.2173 0.2544  1 Si 1.62
O 0.2501 0.5475 0.2560  1 Si 1.61
O 0.2471 0.8854 0.2567  1 Si 1.59
O 0.7500 0.2278 0.2367  1 Si 1.66
O 0.7539 0.5629 0.2455  1 Si 1.67
O 0.7541 0.8947 0.2521  1 Si 1.67
O 0.3390 0.2845 0.5651  1 Si 1.61
O 0.3446 0.6116 0.5853  1 Si 1.59
O 0.3490 0.9437 0.5883  1 Si 1.58
O 0.6375 0.2844 0.9115  1 Si 1.69
O 0.6390 0.6180 0.9167  1 Si 1.72
O 0.6419 0.9507 0.9196  1 Si 1.72
O 0.6419 0.0493 0.4196  1 Si 1.72
O 0.6390 0.3820 0.4167  1 Si 1.72
O 0.6375 0.7156 0.4115  1 Si 1.69
O 0.3490 0.0563 0.0883  1 Si 1.58
O 0.3446 0.3884 0.0853  1 Si 1.59
O 0.3390 0.7155 0.0651  1 Si 1.61
O 0.8446 0.1116 0.5853  1 Si 1.59
O 0.8490 0.4437 0.5883  1 Si 1.58
O 0.8390 0.7845 0.5651  1 Si 1.61
O 0.1390 0.1180 0.9167  1 Si 1.72
O 0.1419 0.4507 0.9196  1 Si 1.72
O 0.1375 0.7844 0.9115  1 Si 1.69
O 0.1375 0.2156 0.4115  1 Si 1.69
O 0.1419 0.5493 0.4196  1 Si 1.72
O 0.1390 0.8820 0.4167  1 Si 1.72
O 0.8390 0.2155 0.0651  1 Si 1.61
O 0.8490 0.5563 0.0883  1 Si 1.58
O 0.8446 0.8884 0.0853  1 Si 1.59
O 0.4601 0.2753 0.9271  1 Si 1.68
O 0.4618 0.6085 0.9415  1 Si 1.69
O 0.4626 0.9407 0.9394  1 Si 1.72
O 0.5462 0.2803 0.5581  1 Si 1.61
O 0.5416 0.6160 0.5550  1 Si 1.60
O 0.5441 0.9488 0.5575  1 Si 1.60
O 0.5441 0.0512 0.0575  1 Si 1.60
O 0.5416 0.3840 0.0550  1 Si 1.60
O 0.5462 0.7197 0.0581  1 Si 1.61
O 0.4626 0.0593 0.4394  1 Si 1.72
O 0.4618 0.3915 0.4415  1 Si 1.69
O 0.4601 0.7247 0.4271  1 Si 1.68
O 0.9618 0.1085 0.9415  1 Si 1.69
O 0.9626 0.4407 0.9394  1 Si 1.72
O 0.9601 0.7753 0.9271  1 Si 1.68
O 0.0416 0.1160 0.5550  1 Si 1.60
O 0.0441 0.4488 0.5575  1 Si 1.60
O 0.0462 0.7803 0.5581  1 Si 1.61
O 0.0462 0.2197 0.0581  1 Si 1.61
O 0.0441 0.5512 0.0575  1 Si 1.60
O 0.0416 0.8840 0.0550  1 Si 1.60
O 0.9601 0.2247 0.4271  1 Si 1.68
O 0.9626 0.5593 0.4394  1 Si 1.72
O 0.9618 0.8915 0.4415  1 Si 1.69
O 0.0862 0.2867 0.7493  1 P 1.55
O 0.0906 0.6232 0.7526  1 P 1.59
O 0.0870 0.9552 0.7490  1 P 1.56
O 0.9312 0.2848 0.7592  1 P 1.55
O 0.9345 0.6149 0.7577  1 P 1.53
O 0.9308 0.9522 0.7579  1 P 1.54
O 0.9308 0.0478 0.2579  1 P 1.54
O 0.9345 0.3851 0.2577  1 P 1.53
O 0.9312 0.7152 0.2592  1 P 1.55
O 0.0870 0.0448 0.2490  1 P 1.56
O 0.0906 0.3768 0.2526  1 P 1.59
O 0.0862 0.7133 0.2493  1 P 1.55
O 0.5906 0.1232 0.7526  1 P 1.59
O 0.5870 0.4552 0.7490  1 P 1.56
O 0.5862 0.7867 0.7493  1 P 1.55
O 0.4345 0.1149 0.7577  1 P 1.53
O 0.4308 0.4522 0.7579  1 P 1.54
O 0.4312 0.7848 0.7592  1 P 1.55
O 0.4312 0.2152 0.2592  1 P 1.55
O 0.4308 0.5478 0.2579  1 P 1.54
O 0.4345 0.8851 0.2577  1 P 1.53
O 0.5862 0.2133 0.2493  1 P 1.55
O 0.5870 0.5448 0.2490  1 P 1.56
O 0.5906 0.8768 0.2526  1 P 1.59

***

Below is CeSe2 after structural relaxation, with properties calculated at the PBE-GGA level.

**E_form**: -1396.6 meV per atom

Unit cell a=8.5716 b=18.9913 c=18.9913 alpha=102.83 beta=90.00 gamma=90.00
With the nearest neighbours (Å) after each atom.
Sites, in units of the cell vectors:
Ce 0.2526 0.2738 0.7262  4 Se 2.73
Ce 0.7526 0.7262 0.2738  4 Se 2.73
Ce 0.7512 0.3764 0.6236  4 Se 2.73
Ce 0.2512 0.6236 0.3764  4 Se 2.73
Ce 0.2730 0.7527 0.6559  4 Se 2.72-2.73
Ce 0.2730 0.3441 0.2473  4 Se 2.72-2.73
Ce 0.7730 0.2473 0.3441  4 Se 2.72-2.73
Ce 0.7730 0.6559 0.7527  4 Se 2.72-2.73
Ce 0.3540 0.0047 0.5826  4 Se 2.72-2.73
Ce 0.3540 0.4174 0.9953  4 Se 2.72-2.73
Ce 0.8540 0.9953 0.4174  4 Se 2.72-2.73
Ce 0.8540 0.5826 0.0047  4 Se 2.72-2.73
Se 0.8028 0.3335 0.4786  2 Ce 2.72-2.73
Se 0.8028 0.5214 0.6666  2 Ce 2.72-2.73
Se 0.3028 0.6666 0.5214  2 Ce 2.72-2.73
Se 0.3028 0.4786 0.3335  2 Ce 2.72-2.73
Se 0.2931 0.1281 0.6832  2 Ce 2.72-2.73
Se 0.2931 0.3168 0.8719  2 Ce 2.72-2.73
Se 0.7931 0.8719 0.3168  2 Ce 2.72-2.73
Se 0.7931 0.6832 0.1281  2 Ce 2.72-2.73
Se 0.8361 0.1081 0.3502  2 Ce 2.73
Se 0.8361 0.6498 0.8919  2 Ce 2.73
Se 0.3361 0.8919 0.6498  2 Ce 2.73
Se 0.3361 0.3502 0.1081  2 Ce 2.73
Se 0.4776 0.2523 0.2915  2 Ce 2.73
Se 0.4776 0.7085 0.7477  2 Ce 2.73
Se 0.9776 0.7477 0.7085  2 Ce 2.73
Se 0.9776 0.2915 0.2523  2 Ce 2.73
Se 0.1469 0.9879 0.4713  2 Ce 2.72-2.73
Se 0.1469 0.5287 0.0121  2 Ce 2.72-2.73
Se 0.6469 0.0121 0.5287  2 Ce 2.72-2.73
Se 0.6469 0.4713 0.9879  2 Ce 2.72-2.73
Se 0.9547 0.3059 0.6941  2 Ce 2.73
Se 0.4547 0.6941 0.3059  2 Ce 2.73
Se 0.4518 0.3454 0.6546  2 Ce 2.73
Se 0.9518 0.6546 0.3454  2 Ce 2.73

***

Below is Ho4C7 after structural relaxation, with properties calculated at the PBE-GGA level.

**E_form**: -289.1 meV per atom

Unit cell a=13.7004 b=3.6916 c=6.4343 alpha=75.19 beta=90.00 gamma=90.00
With the nearest neighbours (Å) after each atom.
Sites, in units of the cell vectors:
Ho 0.9451 0.3655 0.2609  6 C 2.48-2.67
Ho 0.4451 0.6345 0.2391  6 C 2.48-2.67
Ho 0.0549 0.6345 0.7391  6 C 2.48-2.67
Ho 0.5549 0.3655 0.7609  6 C 2.48-2.67
Ho 0.6624 0.0546 0.3400  7 C 2.42-2.64
Ho 0.1624 0.9454 0.1600  7 C 2.42-2.64
Ho 0.3376 0.9454 0.6600  7 C 2.42-2.64
Ho 0.8376 0.0546 0.8400  7 C 2.42-2.64
C 0.5000 0.0000 0.5000  6 Ho 2.44-2.62
C 0.0000 0.0000 0.0000  6 Ho 2.44-2.62
C 0.7846 0.4672 0.0768  1 C 1.33
C 0.2846 0.5328 0.4232  1 C 1.33
C 0.2154 0.5328 0.9232  1 C 1.33
C 0.7154 0.4672 0.5768  1 C 1.33
C 0.1966 0.3784 0.4532  2 C 1.33
C 0.6966 0.6216 0.0468  2 C 1.33
C 0.3958 0.2669 0.9494  1 C 1.33
C 0.8958 0.7331 0.5506  1 C 1.33
C 0.6042 0.7331 0.0506  1 C 1.33
C 0.1042 0.2669 0.4494  1 C 1.33
C 0.3034 0.3784 0.9532  2 C 1.33
C 0.8034 0.6216 0.5468  2 C 1.33